Entry 1:
DFT (PBE+U) results for a relaxed structure of ZnP2W2O10.

Cell: 9.257 7.268 10.553 Å, 59.22 42.42 78.37°
Positions (direct):
Zn 0.000 0.000 0.000
Zn 0.250 0.250 0.250
P 0.065 0.482 0.514
P 0.311 0.736 0.768
P 0.482 0.065 0.939
P 0.736 0.311 0.185
W 0.419 0.866 0.355
W 0.866 0.419 0.360
W 0.890 0.895 0.384
W 0.895 0.890 0.831
O 0.122 0.471 0.333
O 0.138 0.958 0.523
O 0.164 0.541 0.011
O 0.176 0.917 0.779
O 0.239 0.966 0.086
O 0.275 0.599 0.415
O 0.342 0.665 0.634
O 0.471 0.122 0.074
O 0.539 0.835 0.651
O 0.541 0.164 0.284
O 0.599 0.275 0.711
O 0.616 0.891 0.908
O 0.665 0.342 0.359
O 0.727 0.868 0.112
O 0.835 0.539 0.975
O 0.868 0.727 0.292
O 0.891 0.616 0.585
O 0.917 0.176 0.128
O 0.958 0.138 0.382
O 0.966 0.239 0.709

Values from the calculation:
- volume (Å³ per atom) = 13.1
- ΔE_f (eV/atom) = -2.268
- crystal system = orthorhombic
- M_tot (μB/cell) = 8.00
- theoretical density (kg/m3) = 5550
- space group = No. 43



Entry 2:
DFT (PBE+U) results for a relaxed structure of Li2MnF5.

Cell: 13.992 5.417 14.392 Å, 90.00 92.74 90.00°
Positions (direct):
Li 0.030 0.229 0.414
Li 0.030 0.271 0.914
Li 0.085 0.657 0.785
Li 0.085 0.843 0.285
Li 0.238 0.245 0.383
Li 0.238 0.255 0.883
Li 0.303 0.712 0.253
Li 0.303 0.788 0.753
Li 0.360 0.216 0.072
Li 0.360 0.284 0.572
Li 0.434 0.697 0.952
Li 0.434 0.803 0.452
Li 0.566 0.197 0.548
Li 0.566 0.303 0.048
Li 0.640 0.716 0.428
Li 0.640 0.784 0.928
Li 0.697 0.212 0.247
Li 0.697 0.288 0.747
Li 0.762 0.745 0.117
Li 0.762 0.755 0.617
Li 0.915 0.157 0.715
Li 0.915 0.343 0.215
Li 0.970 0.729 0.086
Li 0.970 0.771 0.586
Mn 0.137 0.246 0.665
Mn 0.137 0.254 0.165
Mn 0.205 0.741 0.490
Mn 0.205 0.759 0.990
Mn 0.462 0.247 0.835
Mn 0.462 0.253 0.335
Mn 0.538 0.747 0.665
Mn 0.538 0.753 0.165
Mn 0.795 0.241 0.010
Mn 0.795 0.259 0.510
Mn 0.863 0.746 0.835
Mn 0.863 0.754 0.335
F 0.034 0.023 0.672
F 0.034 0.477 0.172
F 0.046 0.507 0.652
F 0.046 0.993 0.152
F 0.086 0.604 0.997
F 0.086 0.896 0.497
F 0.128 0.198 0.308
F 0.128 0.302 0.808
F 0.143 0.073 0.982
F 0.143 0.427 0.482
F 0.202 0.749 0.846
F 0.202 0.751 0.346
F 0.219 0.520 0.166
F 0.219 0.980 0.666
F 0.238 0.033 0.155
F 0.238 0.467 0.655
F 0.268 0.050 0.492
F 0.268 0.450 0.992
F 0.328 0.597 0.500
F 0.328 0.903 0.000
F 0.341 0.096 0.824
F 0.341 0.404 0.324
F 0.398 0.551 0.813
F 0.398 0.949 0.313
F 0.422 0.589 0.168
F 0.422 0.911 0.668
F 0.447 0.180 0.475
F 0.447 0.320 0.975
F 0.480 0.062 0.137
F 0.480 0.438 0.637
F 0.520 0.562 0.363
F 0.520 0.938 0.863
F 0.553 0.680 0.025
F 0.553 0.820 0.525
F 0.578 0.089 0.332
F 0.578 0.411 0.832
F 0.602 0.051 0.687
F 0.602 0.449 0.187
F 0.659 0.596 0.676
F 0.659 0.904 0.176
F 0.672 0.097 0.000
F 0.672 0.403 0.500
F 0.732 0.550 0.008
F 0.732 0.950 0.508
F 0.762 0.533 0.345
F 0.762 0.967 0.845
F 0.781 0.020 0.334
F 0.781 0.480 0.834
F 0.798 0.249 0.654
F 0.798 0.251 0.154
F 0.857 0.573 0.518
F 0.857 0.927 0.018
F 0.872 0.698 0.192
F 0.872 0.802 0.692
F 0.914 0.104 0.503
F 0.914 0.396 0.003
F 0.954 0.007 0.848
F 0.954 0.493 0.348
F 0.966 0.523 0.828
F 0.966 0.977 0.328

Values from the calculation:
- volume (Å³ per atom) = 11.3
- ΔE_f (eV/atom) = -2.929
- crystal system = monoclinic
- energy above the lowest structure with this stoichiometry (meV/atom) = 67
- M_tot (μB/cell) = 48.00
- theoretical density (kg/m3) = 2996
- space group = No. 14



Entry 3:
DFT (PBE+U) results for a relaxed structure of Li2FePCO7.

Cell: 5.060 10.158 11.016 Å, 74.28 88.03 83.06°
Positions (direct):
Li 0.131 0.381 0.398
Li 0.214 0.101 0.650
Li 0.237 0.588 0.156
Li 0.277 0.948 0.133
Li 0.723 0.052 0.867
Li 0.763 0.412 0.844
Li 0.786 0.899 0.350
Li 0.869 0.619 0.602
Fe 0.312 0.293 0.046
Fe 0.313 0.795 0.550
Fe 0.687 0.205 0.450
Fe 0.688 0.707 0.954
P 0.226 0.589 0.833
P 0.227 0.088 0.331
P 0.773 0.912 0.669
P 0.774 0.411 0.167
C 0.172 0.169 0.891
C 0.246 0.651 0.404
C 0.754 0.349 0.596
C 0.828 0.831 0.109
O 0.012 0.254 0.937
O 0.046 0.729 0.445
O 0.069 0.923 0.628
O 0.073 0.417 0.126
O 0.089 0.102 0.820
O 0.202 0.573 0.337
O 0.227 0.629 0.687
O 0.256 0.118 0.186
O 0.330 0.204 0.378
O 0.350 0.697 0.882
O 0.384 0.445 0.887
O 0.394 0.948 0.390
O 0.420 0.153 0.929
O 0.478 0.664 0.443
O 0.522 0.336 0.557
O 0.580 0.847 0.071
O 0.606 0.052 0.610
O 0.616 0.555 0.113
O 0.650 0.303 0.118
O 0.670 0.796 0.622
O 0.744 0.882 0.814
O 0.773 0.371 0.313
O 0.798 0.427 0.663
O 0.911 0.898 0.180
O 0.927 0.583 0.874
O 0.931 0.077 0.372
O 0.954 0.271 0.555
O 0.988 0.746 0.063

Values from the calculation:
- volume (Å³ per atom) = 11.3
- ΔE_f (eV/atom) = -2.290
- crystal system = triclinic
- energy above the lowest structure with this stoichiometry (meV/atom) = 6
- M_tot (μB/cell) = 20.00
- theoretical density (kg/m3) = 2759
- space group = No. 2